Entry 1:
This record from the Materials Project describes crystalline Ni21Ge2B6 at its relaxed geometry. The functional is r²SCAN.

Properties
- crystal system = cubic
- SG = Fm-3m (225)
- energy of formation from the pure elements (meV per atom) = -259

Cell lengths 7.335, 7.335, 7.335 Å; angles 60.01, 60.01, 60.01 degrees
Element x y z (fractional)
Ni1 0.000 0.337 0.000
Ni2 0.000 0.663 0.000
Ni3 0.000 0.000 0.337
Ni4 0.858 0.381 0.381
B1 0.274 0.726 0.274
Ni5 0.663 0.337 0.000
Ni6 0.000 0.337 0.663
B2 0.274 0.726 0.726
Ni7 0.337 0.000 0.663
Ge1 0.750 0.750 0.750
Ge2 0.250 0.250 0.250
B3 0.726 0.726 0.274
B4 0.274 0.274 0.726
Ni8 0.337 0.000 0.000
B5 0.726 0.274 0.274
Ni9 0.619 0.619 0.142
Ni10 0.000 0.000 0.663
Ni11 0.619 0.142 0.619
Ni12 0.000 0.663 0.337
Ni13 0.381 0.381 0.381
Ni14 0.381 0.381 0.858
Ni15 0.000 0.000 0.000
Ni16 0.663 0.000 0.337
Ni17 0.381 0.858 0.381
Ni18 0.142 0.619 0.619
Ni19 0.663 0.000 0.000
B6 0.726 0.274 0.726
Ni20 0.619 0.619 0.619
Ni21 0.337 0.663 0.000

---

Entry 2:
This record from the Materials Project describes crystalline LuAl3 at its relaxed geometry. The functional is r²SCAN.

Properties
- crystal system = cubic
- SG = Pm-3m (221)
- energy of formation from the pure elements (meV per atom) = -437

Cell lengths 4.169, 4.169, 4.169 Å; angles 90.00, 90.00, 90.00 degrees
Element x y z (fractional)
Al1 0.500 0.000 0.500
Al2 0.000 0.500 0.500
Lu1 0.000 0.000 0.000
Al3 0.500 0.500 0.000

---

Entry 3:
This record from the Materials Project describes crystalline TbPd at its relaxed geometry. The functional is r²SCAN.

Properties
- crystal system = orthorhombic
- SG = Pnma (62)
- energy of formation from the pure elements (meV per atom) = -953

Cell lengths 4.616, 5.524, 6.981 Å; angles 90.00, 90.00, 90.00 degrees
Element x y z (fractional)
Pd1 0.250 0.653 0.041
Tb1 0.250 0.358 0.683
Tb2 0.750 0.858 0.817
Pd2 0.750 0.153 0.459
Pd3 0.750 0.347 0.959
Pd4 0.250 0.847 0.541
Tb3 0.750 0.642 0.317
Tb4 0.250 0.142 0.183

---

Entry 4:
This record from the Materials Project describes crystalline HoErRh2 at its relaxed geometry. The functional is r²SCAN.

Properties
- crystal system = cubic
- SG = Fm-3m (225)
- energy of formation from the pure elements (meV per atom) = -986

Cell lengths 4.779, 4.779, 4.779 Å; angles 60.00, 60.00, 60.00 degrees
Element x y z (fractional)
Rh1 0.500 0.500 0.500
Ho1 0.750 0.750 0.750
Er1 0.250 0.250 0.250
Rh2 0.000 0.000 0.000

---

| no. | volume (A^3/atom) | total magnetization (μB per atom) |
| --- | --- | --- |
| 1 | 9.6 | 0.043 |
| 2 | 18.1 | 0.000 |
| 3 | 22.3 | 0.000 |
| 4 | 19.3 | 0.000 |